## CaCu2P2 (r2SCAN)

Data for crystalline CaCu2P2 at its relaxed geometry.

a b c (Å): 5.6051 5.6051 5.6051
angles (deg): 138.12 138.12 60.72
Element x y z (fractional)
Ca1 0.0000 0.0000 0.0000
Cu1 0.2500 0.7500 0.5000
Cu2 0.7500 0.2500 0.5000
P1 0.3812 0.3812 0.0000
P2 0.6188 0.6188 0.0000

- Space-group type: No. 139
- Energy relative to the elements: -0.6355 eV/atom
- Crystal system: tetragonal